Record 1
## FeS2 (PBE)

Data for a geometry-optimized FeS2 structure.

Energy of formation from the pure elements in eV per atom: -0.6434
Total DFT energy (no corrections) in eV per atom: -5.889
V in Å³ per atom: 21.353
E (MP2020) in eV per formula unit: -18.67

The structure in CIF format:
```
data_FeS2
_cell_length_a 3.2009
_cell_length_b 3.2009
_cell_length_c 21.6586
_cell_angle_alpha 90.00
_cell_angle_beta 90.00
_cell_angle_gamma 120.00
_symmetry_space_group_name_H-M 'R -3 m'
_symmetry_Int_Tables_number 166
_symmetry_space_group_name_Hall '-R 3 2"'
loop_
_atom_site_label
_atom_site_type_symbol
_atom_site_fract_x
_atom_site_fract_y
_atom_site_fract_z
Fe1 Fe 0.0000 0.0000 0.0000
S1 S 0.0000 0.0000 0.3950
```

Record 2
## BaCuTe2O7 (PBE)

Data for a geometry-optimized BaCuTe2O7 structure.

Energy of formation from the pure elements in eV per atom: -1.8130
Total DFT energy (no corrections) in eV per atom: -5.643
V in Å³ per atom: 14.668
E (MP2020) in eV per formula unit: -66.88

The structure in CIF format:
```
data_BaCuTe2O7
_cell_length_a 5.5608
_cell_length_b 15.9045
_cell_length_c 7.2976
_cell_angle_alpha 90.00
_cell_angle_beta 90.00
_cell_angle_gamma 90.00
_symmetry_space_group_name_H-M 'A m a 2'
_symmetry_Int_Tables_number 40
_symmetry_space_group_name_Hall 'A 2 -2a'
loop_
_atom_site_label
_atom_site_type_symbol
_atom_site_fract_x
_atom_site_fract_y
_atom_site_fract_z
Ba1 Ba 0.2500 0.2095 0.0000
Cu1 Cu 0.2500 0.1310 0.5094
Te1 Te 0.2500 0.4226 0.2592
Te2 Te 0.2500 0.4289 0.7562
O1 O 0.0000 0.0000 0.8694
O2 O 0.0023 0.3433 0.1887
O3 O 0.0084 0.1448 0.3112
O4 O 0.2500 0.3665 0.5011
O5 O 0.2500 0.4812 0.0250
```

Record 3
## P4N3Cl11 (PBE)

Data for a geometry-optimized P4N3Cl11 structure.

Energy of formation from the pure elements in eV per atom: -0.9640
Total DFT energy (no corrections) in eV per atom: -4.311
E above lowest polymorph in meV per atom: 0.0
V in Å³ per atom: 33.856
E (MP2020) in eV per formula unit: -84.35

The structure in CIF format:
```
data_P4N3Cl11
_cell_length_a 15.2723
_cell_length_b 11.5305
_cell_length_c 15.2209
_cell_angle_alpha 90.00
_cell_angle_beta 114.57
_cell_angle_gamma 90.00
_symmetry_space_group_name_H-M 'P 1 2/c 1'
_symmetry_Int_Tables_number 13
_symmetry_space_group_name_Hall '-P 2yc'
loop_
_atom_site_label
_atom_site_type_symbol
_atom_site_fract_x
_atom_site_fract_y
_atom_site_fract_z
P1 P 0.1134 0.1962 0.1275
P2 P 0.1986 0.4073 0.0836
P3 P 0.3322 0.4083 0.9903
P4 P 0.3667 0.2197 0.8772
N1 N 0.1221 0.3204 0.0910
N2 N 0.2505 0.3623 0.0194
N3 N 0.3388 0.3420 0.9022
Cl1 Cl 0.0267 0.1609 0.4180
Cl2 Cl 0.1274 0.4440 0.5331
Cl3 Cl 0.1717 0.0689 0.0794
Cl4 Cl 0.1720 0.1802 0.2720
Cl5 Cl 0.2556 0.1378 0.5015
Cl6 Cl 0.2950 0.4519 0.2177
Cl7 Cl 0.3154 0.4227 0.4572
Cl8 Cl 0.3164 0.2032 0.7340
Cl9 Cl 0.3173 0.0838 0.9253
Cl10 Cl 0.4619 0.4024 0.1060
Cl11 Cl 0.4907 0.1940 0.5732
```

Record 4
## Na4Li5B3O9 (PBE)

Data for a geometry-optimized Na4Li5B3O9 structure.

Energy of formation from the pure elements in eV per atom: -2.4368
Total DFT energy (no corrections) in eV per atom: -5.924
V in Å³ per atom: 10.464
E (MP2020) in eV per formula unit: -130.58

The structure in CIF format:
```
data_Na4Li5B3O9
_cell_length_a 12.5718
_cell_length_b 7.4193
_cell_length_c 9.8737
_cell_angle_alpha 90.00
_cell_angle_beta 107.37
_cell_angle_gamma 90.00
_symmetry_space_group_name_H-M 'C 1 2/c 1'
_symmetry_Int_Tables_number 15
_symmetry_space_group_name_Hall '-C 2yc'
loop_
_atom_site_label
_atom_site_type_symbol
_atom_site_fract_x
_atom_site_fract_y
_atom_site_fract_z
Na1 Na 0.1226 0.2439 0.0164
Na2 Na 0.2218 0.4446 0.2870
Li1 Li 0.0000 0.2770 0.2500
Li2 Li 0.0450 0.0323 0.6393
Li3 Li 0.0933 0.3887 0.5121
B1 B 0.0000 0.3959 0.7500
B2 B 0.1674 0.0838 0.4031
O1 O 0.0000 0.2096 0.7500
O2 O 0.0272 0.4944 0.6451
O3 O 0.0882 0.1201 0.4750
O4 O 0.1459 0.1447 0.2633
O5 O 0.2375 0.4862 0.0302
```

What did the first record say?
## FeS2 (PBE)

Data for a geometry-optimized FeS2 structure.

Energy of formation from the pure elements in eV per atom: -0.6434
Total DFT energy (no corrections) in eV per atom: -5.889
V in Å³ per atom: 21.353
E (MP2020) in eV per formula unit: -18.67

The structure in CIF format:
```
data_FeS2
_cell_length_a 3.2009
_cell_length_b 3.2009
_cell_length_c 21.6586
_cell_angle_alpha 90.00
_cell_angle_beta 90.00
_cell_angle_gamma 120.00
_symmetry_space_group_name_H-M 'R -3 m'
_symmetry_Int_Tables_number 166
_symmetry_space_group_name_Hall '-R 3 2"'
loop_
_atom_site_label
_atom_site_type_symbol
_atom_site_fract_x
_atom_site_fract_y
_atom_site_fract_z
Fe1 Fe 0.0000 0.0000 0.0000
S1 S 0.0000 0.0000 0.3950
```